Density functional theory data (PBE) for an optimized crystal structure of CdI2.

```
CdI2
1.0
-2.916 -1.700 2.727
1.764 -2.466 -3.104
113.673 -40.173 96.513
Cd I
21 42
direct
0.333 0.667 0.393 Cd
0.333 0.667 0.345 Cd
0.333 0.667 0.488 Cd
0.333 0.667 0.964 Cd
0.333 0.667 0.060 Cd
0.333 0.667 0.917 Cd
0.667 0.333 0.583 Cd
0.667 0.333 0.012 Cd
0.667 0.333 0.821 Cd
0.333 0.667 0.631 Cd
0.667 0.333 0.298 Cd
0.333 0.667 0.250 Cd
0.333 0.667 0.107 Cd
0.333 0.667 0.679 Cd
0.667 0.333 0.726 Cd
0.333 0.667 0.536 Cd
0.667 0.333 0.869 Cd
0.333 0.667 0.774 Cd
0.333 0.667 0.202 Cd
0.667 0.333 0.440 Cd
0.667 0.333 0.155 Cd
0.000 0.000 0.239 I
0.333 0.667 0.166 I
0.000 0.000 0.191 I
0.000 0.000 0.525 I
0.333 0.667 0.023 I
0.667 0.333 0.356 I
0.000 0.000 0.905 I
0.000 0.000 0.667 I
0.667 0.333 0.261 I
0.667 0.333 0.928 I
0.000 0.000 0.286 I
0.333 0.667 0.833 I
0.333 0.667 0.595 I
0.000 0.000 0.144 I
0.000 0.000 0.858 I
0.000 0.000 0.572 I
0.000 0.000 0.048 I
0.000 0.000 0.715 I
0.667 0.333 0.214 I
0.000 0.000 0.001 I
0.000 0.000 0.810 I
0.333 0.667 0.737 I
0.667 0.333 0.404 I
0.000 0.000 0.953 I
0.667 0.333 0.071 I
0.667 0.333 0.547 I
0.000 0.000 0.334 I
0.333 0.667 0.452 I
0.333 0.667 0.880 I
0.667 0.333 0.975 I
0.000 0.000 0.763 I
0.000 0.000 0.429 I
0.667 0.333 0.118 I
0.000 0.000 0.382 I
0.667 0.333 0.642 I
0.000 0.000 0.096 I
0.667 0.333 0.785 I
0.000 0.000 0.620 I
0.667 0.333 0.499 I
0.000 0.000 0.477 I
0.667 0.333 0.690 I
0.333 0.667 0.309 I
```

## Properties
Space group   P3m1, No. 156
Calculated total energy   -1.909 eV/atom
Density   5.071 g cm⁻³
Energy relative to the elements   -81 kJ per mole of atoms
M_tot   0.000 μB per formula unit